VASP calculation (PBE) on a relaxed structure of Zn2RhAu.

abc: 6.1987 6.1987 6.1987
angles: 90.00 90.00 90.00
With the nearest neighbours (Å) after each atom.
Space group Fm-3m (No. 225)
One atom of each set of equivalent atoms:
Zn1 0.2500 0.2500 0.2500 [8 per cell]  4 Rh 2.68, 4 Au 2.68
Rh1 0.0000 0.0000 0.0000 [4 per cell]  8 Zn 2.68
Au1 0.0000 0.0000 0.5000 [4 per cell]  8 Zn 2.68

Calculated values
**Raw total energy**: -57.7 eV per cell
**Energy relative to the elements**: -0.315 eV/atom